a | Entry from the Materials Project: a relaxed Ga2HgTe4 crystal (meta-GGA r2SCAN).

The structure in POSCAR format:
```
Ga2HgTe4
1.0
7.4636 0.1373 1.4355
1.5593 2.9767 6.8186
-4.7759 -5.4126 -2.3834
Te Ga Hg
4 2 1
Cartesian
3.2752 -0.5380 3.8761
-1.2663 -2.5329 -0.0529
4.3221 2.5725 6.3437
6.9390 1.3140 3.9578
3.5996 -1.8591 1.5896
0.6474 -0.4394 4.2811
0.0000 0.0000 0.0000
```

Total moment, μB per cell: 0.00
Crystal system: tetragonal

---

b | Entry from the Materials Project: a relaxed Ga2HgTe4 crystal (meta-GGA r2SCAN).

The structure in POSCAR format:
```
Ga2HgTe4
1.0
-4.5081 -2.7755 3.2331
4.1287 -4.0092 2.3151
1.2019 7.0758 1.7994
Te Ga Hg
4 2 1
Cartesian
0.0884 -3.9877 5.3319
0.0902 -0.7667 2.7374
2.7712 2.4471 3.0400
-1.3047 2.8893 3.5860
2.5705 -0.1629 3.4443
-0.1897 -3.3924 2.7741
0.0000 0.0000 0.0000
```

Total moment, μB per cell: 0.00
Crystal system: tetragonal

---

Verdict on stability: b comes out on top.

---

a | Entry from the Materials Project: a relaxed Ho5Ga3 crystal (meta-GGA r2SCAN).

The structure in POSCAR format:
```
Ho5Ga3
1.0
-6.3812 0.2598 -5.6410
0.7453 -6.6410 5.2868
-3.7363 3.0576 4.3675
Ho Ga
10 6
Cartesian
-5.1421 -4.0000 0.8274
-5.8739 -0.5116 0.1853
-4.2301 0.6765 3.1859
-3.4984 -2.8119 3.8280
-7.7421 1.0172 2.3691
-0.7453 -0.9181 2.4313
-5.3666 -1.2831 6.0117
-6.8215 -4.1537 4.3506
-1.8056 -5.8107 4.9495
-2.2458 -2.6653 7.2230
-5.3185 2.3957 1.0513
-6.2159 -1.5717 3.0611
-2.5084 -0.3254 5.3603
-0.4827 -3.2580 4.2941
-4.7991 0.9218 -2.3248
-3.1564 -1.7517 0.9522
```

Total moment, μB per cell: 1.83
Crystal system: hexagonal

---

b | Entry from the Materials Project: a relaxed Ho5Ga3 crystal (meta-GGA r2SCAN).

The structure in POSCAR format:
```
Ho5Ga3
1.0
-4.1786 -2.5700 -5.7437
5.9333 0.6868 -4.6239
3.8856 -13.1087 3.0387
Ho Ga
20 12
Cartesian
0.8074 -1.6390 -1.4231
4.0117 -3.1823 -1.4947
0.9928 -13.7536 -2.7180
7.7297 -11.6367 -2.2004
4.1446 -5.6146 -3.9009
1.7746 -12.3022 -5.7200
3.9558 -12.4125 -0.7217
3.4073 -9.1999 -5.1128
3.0339 -8.4939 -1.5898
1.7289 -5.5552 -0.5556
3.1098 -6.7325 -7.4001
2.9669 -1.7280 -4.5684
-0.4082 -2.8680 -5.1704
-1.1902 -4.3185 -2.1687
-0.1101 -9.9461 -3.8343
0.7512 -10.8677 -0.6505
1.7513 -2.9569 -8.3156
6.5513 -7.7477 -2.8682
0.6941 -6.6731 -4.0548
4.7667 -12.9777 -4.1967
5.6664 -2.9951 -4.0004
-1.9657 -5.4532 -4.8453
6.8296 -12.6889 0.7091
1.6350 -3.9931 -3.1516
4.8868 -6.1346 -0.8103
-2.0663 -1.3626 -2.8539
3.1278 -10.0569 1.0066
-0.1241 -7.9148 -1.3350
2.0655 -4.4549 -5.6942
5.0297 -10.3683 -2.7687
2.5501 -11.1670 -3.0434
4.4521 -11.4783 -6.8187
```

Total moment, μB per cell: 0.00
Crystal system: tetragonal

---

Verdict on stability: b comes out on top.

---

a | Entry from the Materials Project: a relaxed NdGa3 crystal (meta-GGA r2SCAN).

The structure in POSCAR format:
```
NdGa3
1.0
-0.2827 1.9199 -6.1685
2.3824 -5.8306 1.4647
-4.1363 -1.7818 -0.3650
Ga Nd
6 2
Cartesian
-2.8477 -1.6152 -1.7974
0.8111 -4.0773 -3.2714
-0.4060 -1.8105 -0.5450
0.9747 -5.1896 0.3034
-1.6306 -3.8820 -4.5238
-3.0113 -0.5029 -5.3722
-0.4283 -1.1093 -3.7151
-1.6083 -4.5832 -1.3537
```

Total moment, μB per cell: 0.00
Crystal system: hexagonal

---

b | Entry from the Materials Project: a relaxed NdGa3 crystal (meta-GGA r2SCAN).

The structure in POSCAR format:
```
NdGa3
1.0
4.3612 0.0000 0.0000
0.0000 4.3612 0.0000
0.0000 0.0000 4.3612
Nd Ga
1 3
Cartesian
0.0000 0.0000 0.0000
2.1806 0.0000 2.1806
0.0000 2.1806 2.1806
2.1806 2.1806 0.0000
```

Total moment, μB per cell: 0.00
Crystal system: cubic

---

Verdict on stability: a comes out on top.

---

a | Entry from the Materials Project: a relaxed GaSb crystal (meta-GGA r2SCAN).

The structure in POSCAR format:
```
GaSb
1.0
-1.6022 -0.9002 3.9313
-1.9652 -3.8009 0.7240
1.9156 -2.9935 2.4904
Sb Ga
1 1
Cartesian
-0.4129 -1.9236 1.7864
0.0000 0.0000 0.0000
```

Total moment, μB per cell: 0.00
Crystal system: cubic

---

b | Entry from the Materials Project: a relaxed GaSb crystal (meta-GGA r2SCAN).

The structure in POSCAR format:
```
GaSb
1.0
-3.8124 -0.5894 1.9434
3.5142 -2.0367 1.4756
1.3625 5.4947 4.3395
Ga Sb
2 2
Cartesian
1.0737 -1.5517 1.6357
-0.6889 1.6804 3.9589
1.5814 0.5025 3.2548
-0.1787 3.7311 5.5817
```

Total moment, μB per cell: 0.00
Crystal system: hexagonal

---

Verdict on stability: a comes out on top.